i:
## LaMg (PBE-GGA)

Data for a relaxed structure of LaMg.

Results
ρ = 4.434 Mg/m³

a = 12.537 Å, b = 3.649 Å, c = 8.386 Å
α = 90.00°, β = 107.06°, γ = 90.00°
Space group Cm (No. 8)
Asymmetric unit:
La (0.000, 0.000, 0.000) x2
La (0.137, 0.500, 0.749) x2
La (0.341, 0.000, 0.645) x2
Mg (0.178, 0.500, 0.325) x2
Mg (0.293, 0.000, 0.107) x2
Mg (0.465, 0.500, 0.391) x2

***

ii:
## LaMg (PBE-GGA)

Data for a relaxed structure of LaMg.

Results
ρ = 4.425 Mg/m³

a = 10.525 Å, b = 6.070 Å, c = 6.749 Å
α = 90.00°, β = 121.54°, γ = 90.00°
Space group C2 (No. 5)
Asymmetric unit:
La (0.000, 0.000, 0.000) x2
La (0.158, 0.354, 0.492) x4
Mg (0.000, 0.849, 0.500) x2
Mg (0.169, 0.515, 0.999) x4

***

Verdict on stability: ii comes out on top.

***

i:
## MgBi2O4 (PBE-GGA)

Data for a relaxed structure of MgBi2O4.

Results
ρ = 7.848 Mg/m³

a = 3.393 Å, b = 11.163 Å, c = 11.312 Å
α = 90.00°, β = 90.00°, γ = 90.00°
Space group Pbcm (No. 57)
Asymmetric unit:
Mg (0.023, 0.143, 0.250) x4
Bi (0.311, 0.618, 0.579) x8
O (0.165, 0.250, 0.000) x4
O (0.169, 0.527, 0.119) x8
O (0.434, 0.742, 0.750) x4

***

ii:
## MgBi2O4 (PBE-GGA)

Data for a relaxed structure of MgBi2O4.

Results
ρ = 7.644 Mg/m³

a = 6.687 Å, b = 6.985 Å, c = 9.418 Å
α = 90.00°, β = 90.00°, γ = 90.00°
Space group Imma (No. 74)
Asymmetric unit:
Mg (0.250, 0.250, 0.250) x4
Bi (0.000, 0.000, 0.000) x4
Bi (0.000, 0.250, 0.628) x4
O (0.000, 0.040, 0.249) x8
O (0.242, 0.250, 0.020) x8

***

iii:
## MgBi2O4 (PBE-GGA)

Data for a relaxed structure of MgBi2O4.

Results
ρ = 7.497 Mg/m³

a = 6.8907 Å, b = 6.8907 Å, c = 16.3626 Å
α = 90.00°, β = 90.00°, γ = 120.00°
Space group P3m1 (No. 156)
Asymmetric unit:
Mg (0.0000, 0.0000, 0.0000) x1
Mg (0.0000, 0.0000, 0.2479) x1
Mg (0.0000, 0.0000, 0.6233) x1
Mg (0.3333, 0.6667, 0.5837) x1
Mg (0.6667, 0.3333, 0.2935) x1
Mg (0.6667, 0.3333, 0.9179) x1
Bi (0.1653, 0.3305, 0.7915) x3
Bi (0.3282, 0.1641, 0.4599) x3
Bi (0.3333, 0.6667, 0.3432) x1
Bi (0.3333, 0.6667, 0.9606) x1
Bi (0.5038, 0.0077, 0.1291) x3
Bi (0.6667, 0.3333, 0.6751) x1
O (0.0000, 0.0000, 0.3738) x1
O (0.0000, 0.0000, 0.8744) x1
O (0.1618, 0.3236, 0.5444) x3
O (0.1661, 0.3321, 0.0405) x3
O (0.2873, 0.1436, 0.7014) x3
O (0.3333, 0.6667, 0.2114) x1
O (0.3333, 0.6667, 0.7074) x1
O (0.3518, 0.1759, 0.2131) x3
O (0.5059, 0.0118, 0.8728) x3
O (0.5218, 0.0437, 0.3703) x3
O (0.6667, 0.3333, 0.0458) x1
O (0.6667, 0.3333, 0.5425) x1

***

Verdict on stability: ii comes out on top.

***

i:
## AgN (PBE-GGA)

Data for a relaxed structure of AgN.

Results
ρ = 7.993 Mg/m³

a = 3.1538 Å, b = 3.1538 Å, c = 2.9395 Å
α = 90.00°, β = 90.00°, γ = 120.00°
Space group P-6m2 (No. 187)
Asymmetric unit:
Ag (0.0000, 0.0000, 0.0000) x1
N (0.3333, 0.6667, 0.5000) x1

***

ii:
## AgN (PBE-GGA)

Data for a relaxed structure of AgN.

Results
ρ = 8.230 Mg/m³

a = 4.616 Å, b = 4.616 Å, c = 4.616 Å
α = 90.00°, β = 90.00°, γ = 90.00°
Space group Fm-3m (No. 225)
Asymmetric unit:
Ag (0.000, 0.000, 0.000) x4
N (0.000, 0.000, 0.500) x4

***

Verdict on stability: ii comes out on top.

***

i:
## MgSi2 (PBE-GGA)

Data for a relaxed structure of MgSi2.

Results
ρ = 2.565 Mg/m³

a = 6.084 Å, b = 7.233 Å, c = 9.766 Å
α = 78.40°, β = 81.98°, γ = 89.95°
Space group P-1 (No. 2)
Asymmetric unit:
Mg (0.029, 0.329, 0.374) x2
Mg (0.080, 0.793, 0.137) x2
Mg (0.414, 0.114, 0.864) x2
Mg (0.469, 0.766, 0.624) x2
Si (0.125, 0.829, 0.845) x2
Si (0.168, 0.070, 0.612) x2
Si (0.219, 0.489, 0.912) x2
Si (0.233, 0.936, 0.386) x2
Si (0.266, 0.393, 0.627) x2
Si (0.271, 0.169, 0.143) x2
Si (0.341, 0.612, 0.377) x2
Si (0.381, 0.496, 0.140) x2

***

ii:
## MgSi2 (PBE-GGA)

Data for a relaxed structure of MgSi2.

Results
ρ = 2.577 Mg/m³

a = 3.430 Å, b = 6.362 Å, c = 9.516 Å
α = 89.42°, β = 88.32°, γ = 87.81°
Space group P-1 (No. 2)
Asymmetric unit:
Mg (0.250, 0.125, 0.250) x2
Mg (0.250, 0.625, 0.250) x2
Si (0.246, 0.124, 0.553) x2
Si (0.246, 0.625, 0.552) x2
Si (0.254, 0.124, 0.947) x2
Si (0.254, 0.626, 0.948) x2

***

iii:
## MgSi2 (PBE-GGA)

Data for a relaxed structure of MgSi2.

Results
ρ = 2.284 Mg/m³

a = 6.057 Å, b = 3.795 Å, c = 10.431 Å
α = 90.00°, β = 102.54°, γ = 90.00°
Space group Pm (No. 6)
Asymmetric unit:
Mg (0.000, 0.000, 0.000) x1
Mg (0.014, 0.500, 0.514) x1
Mg (0.429, 0.000, 0.672) x1
Mg (0.743, 0.500, 0.218) x1
Si (0.074, 0.500, 0.811) x1
Si (0.194, 0.500, 0.253) x1
Si (0.392, 0.000, 0.199) x1
Si (0.440, 0.500, 0.473) x1
Si (0.477, 0.500, 0.872) x1
Si (0.551, 0.000, 0.008) x1
Si (0.666, 0.000, 0.433) x1
Si (0.895, 0.000, 0.698) x1

***

iv:
## MgSi2 (PBE-GGA)

Data for a relaxed structure of MgSi2.

Results
ρ = 2.248 Mg/m³

a = 6.676 Å, b = 3.744 Å, c = 9.778 Å
α = 90.00°, β = 103.37°, γ = 90.00°
Space group P2/m (No. 10)
Asymmetric unit:
Mg (0.115, 0.000, 0.380) x2
Mg (0.340, 0.500, 0.175) x2
Si (0.106, 0.500, 0.815) x2
Si (0.162, 0.000, 0.965) x2
Si (0.253, 0.500, 0.614) x2
Si (0.476, 0.000, 0.618) x2

***

Verdict on stability: iv comes out on top.

***

i:
## MgSi2 (PBE-GGA)

Data for a relaxed structure of MgSi2.

Results
ρ = 2.525 Mg/m³

a = 5.741 Å, b = 7.609 Å, c = 9.972 Å
α = 87.05°, β = 81.80°, γ = 79.20°
Space group P-1 (No. 2)
Asymmetric unit:
Mg (0.003, 0.191, 0.267) x2
Mg (0.229, 0.547, 0.194) x2
Mg (0.286, 0.928, 0.462) x2
Mg (0.365, 0.441, 0.636) x2
Si (0.002, 0.337, 0.516) x2
Si (0.115, 0.136, 0.712) x2
Si (0.139, 0.889, 0.064) x2
Si (0.205, 0.269, 0.999) x2
Si (0.225, 0.577, 0.910) x2
Si (0.398, 0.272, 0.382) x2
Si (0.475, 0.825, 0.853) x2
Si (0.493, 0.144, 0.809) x2

***

ii:
## MgSi2 (PBE-GGA)

Data for a relaxed structure of MgSi2.

Results
ρ = 2.709 Mg/m³

a = 2.780 Å, b = 9.175 Å, c = 7.734 Å
α = 90.00°, β = 90.00°, γ = 90.00°
Space group Pmm2 (No. 25)
Asymmetric unit:
Mg (0.000, 0.000, 0.000) x1
Mg (0.000, 0.235, 0.514) x2
Mg (0.000, 0.500, 0.286) x1
Si (0.500, 0.000, 0.334) x1
Si (0.500, 0.000, 0.674) x1
Si (0.500, 0.239, 0.176) x2
Si (0.500, 0.250, 0.840) x2
Si (0.500, 0.500, 0.627) x1
Si (0.500, 0.500, 0.967) x1

***

Verdict on stability: i comes out on top.

***

i:
## MgSi2 (PBE-GGA)

Data for a relaxed structure of MgSi2.

Results
ρ = 2.276 Mg/m³

a = 6.542 Å, b = 6.859 Å, c = 10.665 Å
α = 85.85°, β = 89.50°, γ = 79.85°
Space group P-1 (No. 2)
Asymmetric unit:
Mg (0.090, 0.150, 0.237) x2
Mg (0.242, 0.660, 0.238) x2
Mg (0.280, 0.903, 0.484) x2
Mg (0.293, 0.482, 0.644) x2
Si (0.042, 0.826, 0.029) x2
Si (0.054, 0.319, 0.481) x2
Si (0.118, 0.130, 0.674) x2
Si (0.228, 0.619, 0.880) x2
Si (0.281, 0.286, 0.967) x2
Si (0.384, 0.313, 0.377) x2
Si (0.440, 0.117, 0.792) x2
Si (0.477, 0.232, 0.160) x2

***

ii:
## MgSi2 (PBE-GGA)

Data for a relaxed structure of MgSi2.

Results
ρ = 2.363 Mg/m³

a = 3.687 Å, b = 7.530 Å, c = 8.388 Å
α = 102.56°, β = 94.86°, γ = 91.34°
Space group P1 (No. 1)
Asymmetric unit:
Mg (0.000, 0.000, 0.000) x1
Mg (0.050, 0.324, 0.378) x1
Mg (0.503, 0.341, 0.956) x1
Mg (0.576, 0.694, 0.448) x1
Si (0.049, 0.555, 0.174) x1
Si (0.067, 0.978, 0.447) x1
Si (0.373, 0.685, 0.804) x1
Si (0.464, 0.991, 0.740) x1
Si (0.526, 0.033, 0.272) x1
Si (0.535, 0.724, 0.097) x1
Si (0.836, 0.503, 0.683) x1
Si (0.960, 0.185, 0.696) x1

***

Verdict on stability: i comes out on top.

***

i:
## Sn (PBE-GGA)

Data for a relaxed structure of Sn.

Results
ρ = 5.371 Mg/m³

a = 6.646 Å, b = 6.646 Å, c = 6.646 Å
α = 90.00°, β = 90.00°, γ = 90.00°
Space group Fd-3m (No. 227, origin choice 2)
Asymmetric unit:
Sn (0.125, 0.125, 0.125) x8

***

ii:
## Sn (PBE-GGA)

Data for a relaxed structure of Sn.

Results
ρ = 6.896 Mg/m³

a = 10.341 Å, b = 4.525 Å, c = 10.305 Å
α = 90.00°, β = 108.48°, γ = 90.00°
Space group C2/c (No. 15)
Asymmetric unit:
Sn (0.000, 0.000, 0.000) x4
Sn (0.000, 0.495, 0.250) x4
Sn (0.247, 0.495, 0.122) x8

***

Verdict on stability: i comes out on top.

***

i:
## Ba2LiTbIrO6 (PBE-GGA)

Data for a relaxed structure of Ba2LiTbIrO6.

Results
ρ = 7.497 Mg/m³

a = 10.217 Å, b = 5.892 Å, c = 6.355 Å
α = 90.00°, β = 122.45°, γ = 90.00°
Space group Cm (No. 8)
Asymmetric unit:
Ba (0.000, 0.000, 0.000) x2
Ba (0.030, 0.500, 0.591) x2
Li (0.371, 0.000, 0.113) x2
Tb (0.218, 0.000, 0.655) x2
Ir (0.235, 0.500, 0.205) x2
O (0.230, 0.262, 0.429) x4
O (0.239, 0.253, 0.970) x4
O (0.468, 0.500, 0.430) x2
O (0.492, 0.000, 0.968) x2

***

ii:
## Ba2LiTbIrO6 (PBE-GGA)

Data for a relaxed structure of Ba2LiTbIrO6.

Results
ρ = 7.478 Mg/m³

a = 5.8891 Å, b = 5.8891 Å, c = 16.1642 Å
α = 90.00°, β = 90.00°, γ = 120.00°
Space group R3m (No. 160, hexagonal axes)
Asymmetric unit:
Ba (0.0000, 0.0000, 0.0000) x3
Ba (0.0000, 0.0000, 0.4589) x3
Li (0.0000, 0.0000, 0.8403) x3
Tb (0.0000, 0.0000, 0.2163) x3
Ir (0.0000, 0.0000, 0.7012) x3
O (0.0146, 0.5073, 0.4524) x9
O (0.1747, 0.3495, 0.2952) x9

***

Verdict on stability: ii comes out on top.